## TbMg16Al12 (PBE-GGA)

Data for crystalline TbMg16Al12 at its relaxed geometry.

Geometry as extended XYZ:
```
29
Lattice="-5.2768 5.2768 5.2768 5.2768 -5.2768 5.2768 5.2768 5.2768 -5.2768" Properties=species:S:1:pos:R:3 pbc="T T T"
Tb 0.0000 0.0000 0.0000
Mg 3.3851 3.3851 -3.3851
Mg 5.6878 1.4974 -1.4974
Mg 3.3851 -3.3851 3.3851
Mg 5.6878 -1.4974 1.4974
Mg 4.8657 1.4974 1.4974
Mg 3.7793 3.7793 -0.4111
Mg 3.7793 -0.4111 3.7793
Mg 1.8916 1.8916 1.8916
Mg 1.4974 5.6878 -1.4974
Mg 1.4974 -1.4974 5.6878
Mg 1.4974 4.8657 1.4974
Mg 1.4974 1.4974 4.8657
Mg -3.3851 3.3851 3.3851
Mg -1.4974 5.6878 1.4974
Mg -1.4974 1.4974 5.6878
Mg -0.4111 3.7793 3.7793
Al 2.9284 0.9611 -0.9611
Al 2.9284 -0.9611 0.9611
Al 7.6251 0.9611 0.9611
Al 0.9611 2.9284 -0.9611
Al 0.9611 -0.9611 2.9284
Al -0.9611 2.9284 0.9611
Al -0.9611 0.9611 2.9284
Al 4.3157 4.3157 2.3483
Al 4.3157 2.3483 4.3157
Al 0.9611 7.6251 0.9611
Al 0.9611 0.9611 7.6251
Al 2.3483 4.3157 4.3157
```

Output
The total energy comes out at -77.24 eV/cell. For the calculated volume, the calculation gives 20.3 Å³ per atom. The energy relative to the lowest polymorph listed for this composition comes out at 0.000 kcal/mol of atoms. The value obtained for the magnetization is 0.004 μB/cell.